[1]
# MgTi3V5O16

An optimized crystal structure of MgTi3V5O16 (PBE+U, Materials Project).

Unit cell a=5.9991 b=5.9175 c=9.6311 alpha=89.50 beta=91.03 gamma=119.80
With the nearest neighbours (Å) after each atom.
Atoms (fractional coordinates):
O: 0.6448 0.3468 0.6261  2 V 1.95-2.00, 1 Ti 1.98
Ti: 0.3219 0.1199 0.7245  4 O 1.87-1.98
O: 0.9368 0.4884 0.8510  3 V 1.93-2.03
O: 0.9981 0.0028 0.8127  1 Ti 1.92, 2 V 1.96-2.00
V: 0.3312 0.6504 0.4862  6 O 2.00-2.17
O: 0.4882 0.5177 0.3261  1 Ti 1.81
Ti: 0.2309 0.3526 0.1993  4 O 1.81-2.00
O: 0.5264 0.9630 0.3370  1 V 1.73
O: 0.1517 0.3152 0.5917  2 V 2.00-2.06, 1 Mg 2.02
Mg: 0.9817 0.9722 0.4897  4 O 1.90-2.02
O: 0.5002 0.4734 0.8556  1 V 1.76
O: 0.1721 0.8380 0.6018  1 Ti 1.87, 1 Mg 1.99
O: 0.3399 0.6759 0.0987  2 Ti 1.94, 1 V 1.98
O: 0.6681 0.8328 0.6018  1 Mg 1.97, 3 V 2.02-2.14
Ti: 0.1281 0.7935 0.1867  4 O 1.83-2.02
V: 0.7658 0.6478 0.7477  4 O 1.76-1.96
O: 0.0719 0.5534 0.3273  1 Ti 1.86, 1 V 2.03
V: 0.6768 0.3193 0.9897  4 O 1.83-2.05
O: 0.5220 0.0440 0.8474  1 Ti 1.88, 2 V 1.97-2.08
V: 0.6621 0.8655 0.2101  1 O 1.73
O: 0.3438 0.1576 0.0997  2 Ti 1.88-2.06, 1 V 2.05
O: 0.8143 0.6594 0.0995  1 Ti 1.83
O: 0.8382 0.1903 0.1009  2 V 1.83-1.98
O: 0.0170 0.0107 0.2943  1 Mg 1.90, 2 Ti 2.00-2.02, 1 V 2.01
V: 0.8366 0.1887 0.7176  6 O 2.00-2.14

Values from the calculation:
- Final energy: -199.869 eV/cell
- Magnetic moment: 7.00 μB per formula unit
- ρ: 3.8 Mg/m³
- Formation enthalpy at 0 K: -2.7795 eV/atom
- V: 296.6 Å³/cell
- Symmetry: P1

[2]
# Ti3V2SbP6O24

An optimized crystal structure of Ti3V2SbP6O24 (PBE+U, Materials Project).

Unit cell a=8.6882 b=8.6882 c=8.6882 alpha=60.80 beta=60.80 gamma=60.80
With the nearest neighbours (Å) after each atom.
Atoms (fractional coordinates):
O: 0.8126 0.6150 0.0012  1 P 1.55
Ti: 0.6466 0.6466 0.6466  6 O 1.89-2.03
O: 0.7481 0.9367 0.0913  1 P 1.56
O: 0.2683 0.0478 0.8906  1 P 1.55
O: 0.9367 0.0913 0.7481  1 P 1.56
P: 0.2518 0.5568 0.9479  4 O 1.52-1.56
O: 0.0012 0.8126 0.6150  1 P 1.55
O: 0.0913 0.7481 0.9367  1 P 1.56
O: 0.5769 0.7563 0.4134  1 P 1.56
O: 0.7563 0.4134 0.5769  1 P 1.56
P: 0.0440 0.7398 0.4627  4 O 1.54-1.57
Ti: 0.8553 0.8553 0.8553  6 O 1.95-2.12
P: 0.5568 0.9479 0.2518  4 O 1.52-1.56
O: 0.4134 0.5769 0.7563  1 P 1.56
O: 0.8906 0.2683 0.0478  1 P 1.55
O: 0.0478 0.8906 0.2683  1 P 1.55
O: 0.9659 0.1889 0.4113  1 P 1.52
Ti: 0.3549 0.3549 0.3549  6 O 1.95-2.10
P: 0.9479 0.2518 0.5568  4 O 1.52-1.56
P: 0.4627 0.0440 0.7398  4 O 1.54-1.57
O: 0.3093 0.5003 0.1159  1 P 1.55
O: 0.1889 0.4113 0.9659  1 P 1.52
O: 0.2384 0.5821 0.4488  1 P 1.57
O: 0.4113 0.9659 0.1889  1 P 1.52
O: 0.8897 0.6633 0.5212  1 P 1.54
P: 0.7398 0.4627 0.0440  4 O 1.54-1.57
O: 0.6150 0.0012 0.8126  1 P 1.55
O: 0.1159 0.3093 0.5003  1 P 1.55
O: 0.5003 0.1159 0.3093  1 P 1.55
O: 0.6633 0.5212 0.8897  1 P 1.54
O: 0.5212 0.8897 0.6633  1 P 1.54
Sb: 0.1473 0.1473 0.1473  6 O 2.14-2.35
V: 0.9982 0.9982 0.9982  6 O 2.16-2.24
O: 0.5821 0.4488 0.2384  1 P 1.57
O: 0.4488 0.2384 0.5821  1 P 1.57
V: 0.5016 0.5016 0.5016  6 O 2.25-2.28

Values from the calculation:
- Final energy: -277.443 eV/cell
- Magnetic moment: 5.78 μB per formula unit
- ρ: 3.3 Mg/m³
- Formation enthalpy at 0 K: -2.7810 eV/atom
- V: 472.1 Å³/cell
- Symmetry: R3

[3]
# MnOF

An optimized crystal structure of MnOF (PBE+U, Materials Project).

Unit cell a=5.7033 b=5.7032 c=5.7033 alpha=115.57 beta=66.21 gamma=80.50
With the nearest neighbours (Å) after each atom.
Atoms (fractional coordinates):
F: 0.1864 0.0636 0.2500  2 Mn 2.05
Mn: 0.0000 0.0007 0.0007  2 O 1.89, 4 F 2.05
O: 0.6967 0.5005 0.8038  3 Mn 1.89-1.96
O: 0.6967 0.9995 0.3028  3 Mn 1.89-1.96
F: 0.8134 0.9366 0.7500  2 Mn 2.05
Mn: 0.0000 0.4993 0.4993  2 O 1.89, 4 F 2.05
Mn: 0.5000 0.7500 0.2500  4 O 1.95
Mn: 0.5000 0.2500 0.7500  4 O 1.96
O: 0.3033 0.9995 0.6962  3 Mn 1.89-1.96
F: 0.1866 0.5634 0.7500  2 Mn 2.05
O: 0.3033 0.5005 0.1972  3 Mn 1.89-1.96
F: 0.8136 0.4364 0.2500  2 Mn 2.05

Values from the calculation:
- Final energy: -81.216 eV/cell
- Magnetic moment: 2.00 μB per formula unit
- ρ: 4.3 Mg/m³
- Formation enthalpy at 0 K: -2.3654 eV/atom
- V: 139.6 Å³/cell

[4]
# Ca2TaWO6

An optimized crystal structure of Ca2TaWO6 (PBE+U, Materials Project).

Unit cell a=5.7504 b=5.5721 c=9.7467 alpha=55.11 beta=90.00 gamma=90.00
With the nearest neighbours (Å) after each atom.
Atoms (fractional coordinates):
O: 0.0371 0.1576 0.2396  1 Ta 2.01, 1 W 2.17
Ca: 0.9488 0.7391 0.2483  4 O 2.34-2.46
O: 0.8089 0.2598 0.9489  1 Ta 2.00, 1 W 2.16
Ta: 0.5000 0.5000 0.5000  6 O 2.00-2.01
O: 0.9629 0.8424 0.7604  1 Ta 2.01, 1 W 2.17
Ca: 0.0512 0.2609 0.7517  4 O 2.34-2.46
O: 0.2885 0.3699 0.9429  1 Ta 2.01, 1 W 2.17
Ca: 0.4488 0.2609 0.2517  4 O 2.34-2.46
O: 0.5371 0.8424 0.2604  1 Ta 2.01, 1 W 2.17
W: 0.5000 0.0000 0.0000  6 O 2.16-2.17
Ta: 0.0000 0.5000 0.0000  6 O 2.00-2.01
O: 0.6911 0.2598 0.4489  1 Ta 2.00, 1 W 2.16
O: 0.7885 0.6301 0.5571  1 Ta 2.01, 1 W 2.17
O: 0.2115 0.3699 0.4429  1 Ta 2.01, 1 W 2.17
O: 0.1911 0.7402 0.0511  1 Ta 2.00, 1 W 2.16
W: 0.0000 0.0000 0.5000  6 O 2.16-2.17
O: 0.4629 0.1576 0.7396  1 Ta 2.01, 1 W 2.17
O: 0.3089 0.7402 0.5511  1 Ta 2.00, 1 W 2.16
Ca: 0.5512 0.7391 0.7483  4 O 2.34-2.46
O: 0.7115 0.6301 0.0571  1 Ta 2.01, 1 W 2.17

Values from the calculation:
- Final energy: -160.612 eV/cell
- Magnetic moment: 3.00 μB per formula unit
- ρ: 7.0 Mg/m³
- Formation enthalpy at 0 K: -3.0351 eV/atom
- V: 256.2 Å³/cell
- Symmetry: P2_1/c

[5]
# Li3VO3F

An optimized crystal structure of Li3VO3F (PBE+U, Materials Project).

Unit cell a=5.1621 b=7.7729 c=7.7884 alpha=97.88 beta=102.91 gamma=103.10
With the nearest neighbours (Å) after each atom.
Atoms (fractional coordinates):
Li: 0.9898 0.3838 0.6156  4 O 2.02-2.16, 2 F 2.14-2.22
Li: 0.5029 0.3701 0.1329  4 O 2.00-2.20, 2 F 2.12-2.20
O: 0.2180 0.1205 0.1098  3 V 1.94-2.15, 2 Li 2.11-2.16
Li: 0.0000 0.5000 0.0000  4 O 2.05-2.11, 2 F 2.17
Li: 0.4855 0.7347 0.2479  2 F 2.04-2.08, 3 O 2.07-2.13
Li: 0.5000 0.5000 0.5000  2 F 2.04, 4 O 2.07-2.27
Li: 0.5000 0.0000 0.0000  6 O 2.11-2.16
V: 0.9884 0.2698 0.2409  4 O 1.81-2.02
O: 0.7951 0.0152 0.2481  2 V 1.95-2.02, 3 Li 2.04-2.15
O: 0.7629 0.3613 0.3626  1 V 1.86, 4 Li 1.98-2.06
O: 0.2049 0.9848 0.7519  2 V 1.95-2.02, 3 Li 2.04-2.15
O: 0.2400 0.4769 0.2489  1 V 1.81
V: 0.0116 0.7302 0.7591  4 O 1.81-2.02
O: 0.7820 0.8795 0.8902  3 V 1.94-2.15, 2 Li 2.11-2.16
Li: 0.0102 0.6162 0.3844  4 O 2.02-2.16, 2 F 2.14-2.22
O: 0.2371 0.6387 0.6374  1 V 1.86, 4 Li 1.98-2.06
F: 0.2547 0.2541 0.5016  5 Li 2.04-2.22, 1 V 2.22
V: 0.0270 0.8884 0.1453  3 O 1.77-1.95
F: 0.7489 0.6394 0.1256  5 Li 2.04-2.22, 1 V 2.10
F: 0.2511 0.3606 0.8744  5 Li 2.04-2.22, 1 V 2.10
O: 0.7600 0.5231 0.7511  1 V 1.81
V: 0.9730 0.1116 0.8547  3 O 1.77-1.95
Li: 0.4971 0.6299 0.8671  4 O 2.00-2.20, 2 F 2.12-2.20
O: 0.2392 0.8737 0.3522  1 V 1.77
Li: 0.0000 0.0000 0.5000  4 O 2.04-2.17, 2 F 2.11
Li: 0.5346 0.1264 0.3835  4 O 1.98-2.14, 1 F 2.22
Li: 0.4654 0.8736 0.6165  4 O 1.98-2.14, 1 F 2.22
O: 0.7608 0.1263 0.6478  1 V 1.77
Li: 0.5145 0.2653 0.7521  2 F 2.04-2.08, 3 O 2.07-2.13
O: 0.2290 0.7520 0.9995  2 V 1.92-2.05, 3 Li 2.05-2.13
F: 0.7453 0.7459 0.4984  5 Li 2.04-2.22, 1 V 2.22
O: 0.7710 0.2480 0.0005  2 V 1.92-2.05, 3 Li 2.05-2.13

Values from the calculation:
- Final energy: -192.563 eV/cell
- Magnetic moment: 1.00 μB per formula unit
- ρ: 3.2 Mg/m³
- Formation enthalpy at 0 K: -2.5993 eV/atom
- V: 290.8 Å³/cell
- Symmetry: P-1

[6]
# Li3FePCO7

An optimized crystal structure of Li3FePCO7 (PBE+U, Materials Project).

Unit cell a=6.4905 b=8.5372 c=9.9582 alpha=95.18 beta=89.96 gamma=90.44
With the nearest neighbours (Å) after each atom.
Atoms (fractional coordinates):
O: 0.5610 0.6894 0.4089  1 P 1.54
O: 0.7507 0.8901 0.6783  1 C 1.30
O: 0.2362 0.8496 0.2505  1 C 1.32
Li: 0.2532 0.6538 0.3999  4 O 2.02-2.10
Li: 0.2508 0.0980 0.1185  2 O 1.92-1.98
C: 0.7501 0.0356 0.6499  3 O 1.29-1.31
O: 0.7490 0.1507 0.2452  1 C 1.29
O: 0.7473 0.4221 0.9099  1 P 1.54
Fe: 0.7496 0.3353 0.1058  5 O 2.05-2.19
O: 0.2504 0.5796 0.5936  1 P 1.53
P: 0.7487 0.5880 0.8608  4 O 1.54-1.58
O: 0.2501 0.9290 0.4722  1 C 1.27
O: 0.4362 0.3110 0.5882  1 P 1.56
C: 0.2439 0.9629 0.3503  3 O 1.27-1.32
O: 0.7553 0.5718 0.2007  1 P 1.60
O: 0.7497 0.1492 0.7472  1 C 1.31
O: 0.2508 0.5763 0.0882  1 P 1.56
Li: 0.0213 0.2734 0.8737  4 O 2.08-2.20
O: 0.7494 0.0720 0.5265  1 C 1.29
O: 0.9373 0.6888 0.9203  1 P 1.58
O: 0.2496 0.1079 0.3183  1 C 1.31
P: 0.2499 0.4140 0.6409  4 O 1.53-1.57
Li: 0.7458 0.9038 0.8793  2 O 1.92-1.99
Fe: 0.0018 0.7335 0.1402  5 O 2.07-2.23
Li: 0.7433 0.8964 0.3898  3 O 1.93-2.14
O: 0.5644 0.6914 0.9154  1 P 1.56
O: 0.2505 0.8495 0.7561  1 C 1.30
O: 0.0628 0.3091 0.0855  1 P 1.56
Li: 0.5140 0.7240 0.1320  5 O 2.13-2.36
O: 0.2468 0.9311 0.9757  1 C 1.30
O: 0.9413 0.6912 0.4082  1 P 1.55
O: 0.0636 0.3104 0.5868  1 P 1.56
O: 0.2482 0.4258 0.7992  1 P 1.57
O: 0.7525 0.8906 0.1840  1 C 1.32
O: 0.7543 0.5733 0.7042  1 P 1.55
O: 0.4369 0.3120 0.0835  1 P 1.56
Li: 0.4725 0.2808 0.3771  4 O 2.10-2.17
Li: 0.4755 0.2750 0.8723  4 O 2.07-2.17
P: 0.7506 0.5910 0.3616  4 O 1.54-1.60
Li: 0.9865 0.7255 0.6117  4 O 2.04-2.23
C: 0.2485 0.9650 0.8512  3 O 1.30
Fe: 0.7504 0.3341 0.6048  5 O 2.05-2.22
C: 0.7509 0.0365 0.1506  3 O 1.29-1.32
O: 0.7502 0.4232 0.4092  1 P 1.55
Li: 0.5154 0.7243 0.6125  4 O 2.04-2.27
Li: 0.2510 0.0985 0.6143  2 O 1.93-2.04
Li: 0.0286 0.2808 0.3767  4 O 2.10-2.19
P: 0.2501 0.4100 0.1419  4 O 1.54-1.56
Fe: 0.2534 0.6620 0.8858  5 O 2.05-2.21
O: 0.7498 0.0663 0.0262  1 C 1.29
O: 0.2510 0.4275 0.2969  1 P 1.54
O: 0.2491 0.1088 0.8196  1 C 1.30

Values from the calculation:
- Final energy: -346.774 eV/cell
- Magnetic moment: 4.00 μB per formula unit
- ρ: 2.8 Mg/m³
- Formation enthalpy at 0 K: -2.3295 eV/atom
- V: 549.5 Å³/cell
- Symmetry: P1